[1]
DFT (meta-GGA r2SCAN) results for a relaxed structure of Mg4B3Ir2.

Calculated values
Total magnetic moment: 0.00 μB per formula unit
Uncorrected energy: -16.341 eV per atom

Unit cell a=8.585 b=4.833 c=6.862 alpha=90.00 beta=115.73 gamma=90.00
Space group C2 (No. 5)
Asymmetric unit:
Mg  0.193  0.000  0.343 [4 per cell]
Mg  0.198  0.000  0.859 [4 per cell]
B  0.000  0.174  0.500 [2 per cell]
B  0.000  0.498  0.000 [2 per cell]
B  0.000  0.825  0.500 [2 per cell]
Ir  0.015  0.499  0.719 [4 per cell]

[2]
DFT (meta-GGA r2SCAN) results for a relaxed structure of MgBIr.

Calculated values
Total magnetic moment: 0.00 μB per formula unit
Uncorrected energy: -21.798 eV per atom

Unit cell a=5.2760 b=5.2760 c=9.4453 alpha=90.00 beta=90.00 gamma=120.00
Space group P6_222 (No. 180)
Asymmetric unit:
Mg  0.0000  0.0000  0.0000 [3 per cell]
Mg  0.0000  0.5000  0.1667 [3 per cell]
B  0.2058  0.6029  0.6667 [6 per cell]
Ir  0.0000  0.5000  0.4556 [6 per cell]

[3]
DFT (meta-GGA r2SCAN) results for a relaxed structure of NdB2Ir3.

Calculated values
Total magnetic moment: 0.00 μB per formula unit
Uncorrected energy: -34.249 eV per atom

Unit cell a=5.6557 b=5.6557 c=2.9674 alpha=90.00 beta=90.00 gamma=120.00
Space group P6/mmm (No. 191)
Asymmetric unit:
Nd  0.0000  0.0000  0.0000 [1 per cell]
B  0.3333  0.6667  0.0000 [2 per cell]
Ir  0.0000  0.5000  0.5000 [3 per cell]

[4]
DFT (meta-GGA r2SCAN) results for a relaxed structure of NdB4Ir4.

Calculated values
Total magnetic moment: 0.00 μB per formula unit
Uncorrected energy: -30.438 eV per atom

Unit cell a=7.678 b=7.678 c=3.974 alpha=90.00 beta=90.00 gamma=90.00
Space group P4_2/n (No. 86, origin choice 2)
Asymmetric unit:
Nd  0.250  0.250  0.250 [2 per cell]
B  0.029  0.908  0.142 [8 per cell]
Ir  0.091  0.641  0.142 [8 per cell]

[5]
DFT (meta-GGA r2SCAN) results for a relaxed structure of PrB2Ir2.

Calculated values
Total magnetic moment: 0.00 μB per formula unit
Uncorrected energy: -30.591 eV per atom

Unit cell a=6.053 b=9.429 c=10.660 alpha=90.00 beta=90.00 gamma=90.00
Space group Fddd (No. 70, origin choice 2)
Asymmetric unit:
Pr  0.125  0.125  0.125 [8 per cell]
B  0.125  0.303  0.625 [16 per cell]
Ir  0.125  0.125  0.495 [16 per cell]

[6]
DFT (meta-GGA r2SCAN) results for a relaxed structure of ScB2Ir3.

Calculated values
Total magnetic moment: 0.00 μB per formula unit
Uncorrected energy: -31.203 eV per atom

Unit cell a=5.4297 b=5.4297 c=3.0440 alpha=90.00 beta=90.00 gamma=120.00
Space group P6/mmm (No. 191)
Asymmetric unit:
Sc  0.0000  0.0000  0.0000 [1 per cell]
B  0.3333  0.6667  0.0000 [2 per cell]
Ir  0.0000  0.5000  0.5000 [3 per cell]

[7]
DFT (meta-GGA r2SCAN) results for a relaxed structure of Sc2B6Ir.

Calculated values
Total magnetic moment: 0.00 μB per formula unit
Uncorrected energy: -14.029 eV per atom

Unit cell a=8.915 b=11.210 c=3.469 alpha=90.00 beta=90.00 gamma=90.00
Space group Pbam (No. 55)
Asymmetric unit:
Sc  0.055  0.125  0.000 [4 per cell]
Sc  0.182  0.414  0.000 [4 per cell]
B  0.020  0.287  0.500 [4 per cell]
B  0.054  0.564  0.500 [4 per cell]
B  0.104  0.972  0.500 [4 per cell]
B  0.131  0.819  0.500 [4 per cell]
B  0.204  0.237  0.500 [4 per cell]
B  0.248  0.078  0.500 [4 per cell]
Ir  0.140  0.680  0.000 [4 per cell]

[8]
DFT (meta-GGA r2SCAN) results for a relaxed structure of ScB4Ir3.

Calculated values
Total magnetic moment: 0.00 μB per formula unit
Uncorrected energy: -25.361 eV per atom

Unit cell a=7.6026 b=7.6026 c=3.4578 alpha=90.00 beta=90.00 gamma=120.00
Space group P6_3/m (No. 176)
Asymmetric unit:
Sc  0.3333  0.6667  0.2500 [2 per cell]
B  0.0000  0.0000  0.0000 [2 per cell]
B  0.0502  0.5987  0.7500 [6 per cell]
Ir  0.0765  0.3296  0.7500 [6 per cell]

[9]
DFT (meta-GGA r2SCAN) results for a relaxed structure of Sc3B2Ir5.

Calculated values
Total magnetic moment: 0.00 μB per formula unit
Uncorrected energy: -32.035 eV per atom

Unit cell a=9.583 b=9.583 c=3.058 alpha=90.00 beta=90.00 gamma=90.00
Space group P4/mbm (No. 127)
Asymmetric unit:
Sc  0.000  0.000  0.000 [2 per cell]
Sc  0.177  0.323  0.000 [4 per cell]
B  0.122  0.622  0.000 [4 per cell]
Ir  0.000  0.500  0.500 [2 per cell]
Ir  0.070  0.777  0.500 [8 per cell]

[10]
DFT (meta-GGA r2SCAN) results for a relaxed structure of SmB2Ir2.

Calculated values
Total magnetic moment: 0.00 μB per formula unit
Uncorrected energy: -30.678 eV per atom

Unit cell a=5.935 b=9.356 c=10.731 alpha=90.00 beta=90.00 gamma=90.00
Space group Fddd (No. 70, origin choice 2)
Asymmetric unit:
Sm  0.125  0.125  0.125 [8 per cell]
B  0.125  0.304  0.625 [16 per cell]
Ir  0.125  0.125  0.496 [16 per cell]

[11]
DFT (meta-GGA r2SCAN) results for a relaxed structure of SmB2Ir3.

Calculated values
Total magnetic moment: 0.00 μB per formula unit
Uncorrected energy: -34.327 eV per atom

Unit cell a=5.4753 b=5.4753 c=3.1504 alpha=90.00 beta=90.00 gamma=120.00
Space group P6/mmm (No. 191)
Asymmetric unit:
Sm  0.0000  0.0000  0.0000 [1 per cell]
B  0.3333  0.6667  0.0000 [2 per cell]
Ir  0.0000  0.5000  0.5000 [3 per cell]

[12]
DFT (meta-GGA r2SCAN) results for a relaxed structure of Sn5B2Ir6.

Calculated values
Total magnetic moment: 0.00 μB per formula unit
Uncorrected energy: -35.126 eV per atom

Unit cell a=6.6541 b=6.6541 c=5.6223 alpha=90.00 beta=90.00 gamma=120.00
Space group P-62m (No. 189)
Asymmetric unit:
Sn  0.0000  0.5967  0.0000 [3 per cell]
Sn  0.3333  0.6667  0.5000 [2 per cell]
B  0.0000  0.0000  0.0000 [1 per cell]
B  0.0000  0.0000  0.5000 [1 per cell]
Ir  0.0000  0.2539  0.2541 [6 per cell]

[13]
DFT (meta-GGA r2SCAN) results for a relaxed structure of Sn4B3Ir7.

Calculated values
Total magnetic moment: 0.00 μB per formula unit
Uncorrected energy: -35.138 eV per atom

Unit cell a=9.3153 b=9.3153 c=5.6628 alpha=90.00 beta=90.00 gamma=120.00
Space group P6_3/m (No. 176)
Asymmetric unit:
Sn  0.0916  0.5899  0.2500 [6 per cell]
Sn  0.3333  0.6667  0.7500 [2 per cell]
B  0.0372  0.8270  0.7500 [6 per cell]
Ir  0.0000  0.0000  0.0000 [2 per cell]
Ir  0.1245  0.3559  0.5010 [12 per cell]

[14]
DFT (meta-GGA r2SCAN) results for a relaxed structure of SrB2Ir2.

Calculated values
Total magnetic moment: 0.00 μB per formula unit
Uncorrected energy: -27.635 eV per atom

Unit cell a=6.059 b=9.441 c=10.750 alpha=90.00 beta=90.00 gamma=90.00
Space group Fddd (No. 70, origin choice 2)
Asymmetric unit:
Sr  0.125  0.125  0.125 [8 per cell]
B  0.125  0.299  0.625 [16 per cell]
Ir  0.125  0.125  0.494 [16 per cell]

[15]
DFT (meta-GGA r2SCAN) results for a relaxed structure of ThB2Ir3.

Calculated values
Total magnetic moment: 0.00 μB per formula unit
Uncorrected energy: -41.631 eV per atom

Unit cell a=5.4623 b=5.4623 c=3.2520 alpha=90.00 beta=90.00 gamma=120.00
Space group P6/mmm (No. 191)
Asymmetric unit:
Th  0.0000  0.0000  0.0000 [1 per cell]
B  0.3333  0.6667  0.0000 [2 per cell]
Ir  0.0000  0.5000  0.5000 [3 per cell]

[16]
DFT (meta-GGA r2SCAN) results for a relaxed structure of UB2Ir3.

Calculated values
Total magnetic moment: 2.12 μB per formula unit
Uncorrected energy: -42.584 eV per atom

Unit cell a=5.4281 b=5.4281 c=3.1965 alpha=90.00 beta=90.00 gamma=120.00
Space group P6/mmm (No. 191)
Asymmetric unit:
U  0.0000  0.0000  0.0000 [1 per cell]
B  0.3333  0.6667  0.0000 [2 per cell]
Ir  0.0000  0.5000  0.5000 [3 per cell]

[17]
DFT (meta-GGA r2SCAN) results for a relaxed structure of YB4Ir4.

Calculated values
Total magnetic moment: 0.00 μB per formula unit
Uncorrected energy: -29.419 eV per atom

Unit cell a=7.615 b=7.615 c=3.973 alpha=90.00 beta=90.00 gamma=90.00
Space group P4_2/n (No. 86, origin choice 2)
Asymmetric unit:
Y  0.250  0.250  0.250 [2 per cell]
B  0.028  0.593  0.139 [8 per cell]
Ir  0.090  0.859  0.138 [8 per cell]

[18]
DFT (meta-GGA r2SCAN) results for a relaxed structure of ZrB4Ir3.

Calculated values
Total magnetic moment: 0.00 μB per formula unit
Uncorrected energy: -26.727 eV per atom

Unit cell a=7.6061 b=7.6061 c=3.5259 alpha=90.00 beta=90.00 gamma=120.00
Space group P6_3/m (No. 176)
Asymmetric unit:
Zr  0.3333  0.6667  0.2500 [2 per cell]
B  0.0000  0.0000  0.0000 [2 per cell]
B  0.0508  0.4474  0.7500 [6 per cell]
Ir  0.0743  0.7428  0.7500 [6 per cell]

[19]
DFT (meta-GGA r2SCAN) results for a relaxed structure of KB6.

Calculated values
Total magnetic moment: 0.00 μB per formula unit
Uncorrected energy: -7.237 eV per atom

Unit cell a=4.212 b=4.212 c=4.212 alpha=90.00 beta=90.00 gamma=90.00
Space group Pm-3m (No. 221)
Asymmetric unit:
K  0.000  0.000  0.000 [1 per cell]
B  0.199  0.500  0.500 [6 per cell]